{"formula": "CsO2", "functional": "GGA-PBE", "state": "optimized geometry", "relative_energy_mev_per_atom": 44, "spacegroup": "Pnnm (58)", "formation_enthalpy_0k_ev_per_atom": -0.94, "lattice_angstrom": [[-1.4393, 1.4780, -4.3881], [-2.8457, -3.9441, -0.3950], [-5.1853, 3.4544, 2.8643]], "species": ["O", "O", "O", "O", "Cs", "Cs"], "frac_coords": [[0.8862, 0.0000, 0.4424], [0.1138, 0.0000, 0.5576], [0.6138, 0.5000, 0.9424], [0.3862, 0.5000, 0.0576], [0.5000, 0.5000, 0.5000], [0.0000, 0.0000, 0.0000]]}